Li24Mn5Cr7O36 GGA+U relaxed; ρ = 3.63 g cm⁻³; formation enthalpy at 0 K = -2210 meV per atom; SG = P1 (1); raw total energy = -6.24 eV/atom
1.0
5.0276 0.0000 0.0000
-0.8420 9.7334 0.0000
-2.4189 -1.8159 12.9239
Li Mn Cr O
24 5 7 36
Direct
0.0000 0.0000 0.0000
0.0009 0.4998 0.4997
0.1158 0.0001 0.2201
0.1196 0.5007 0.7205
0.1663 0.7502 0.0832
0.1695 0.2506 0.5834
0.2142 0.5008 0.9467
0.2189 0.9999 0.4465
0.3276 0.5018 0.1657
0.3341 0.9996 0.6669
0.4470 0.0002 0.8872
0.4500 0.5003 0.3879
0.4970 0.7506 0.7487
0.5033 0.2499 0.2506
0.5451 0.4996 0.6129
0.5512 0.9997 0.1127
0.6638 0.0007 0.3327
0.6698 0.4998 0.8330
0.7798 0.0020 0.5543
0.7847 0.5002 0.0531
0.8324 0.7502 0.4165
0.8335 0.2506 0.9172
0.8824 0.9988 0.7786
0.8842 0.5007 0.2797
0.0555 0.7511 0.8612
0.2784 0.7510 0.3058
0.3869 0.7491 0.5271
0.6099 0.2510 0.4720
0.9417 0.2488 0.1385
0.0610 0.2499 0.3604
0.2762 0.2510 0.8080
0.3930 0.2514 0.0308
0.6051 0.7487 0.9706
0.7255 0.2495 0.6924
0.7281 0.7512 0.1951
0.9377 0.7502 0.6377
0.0135 0.1380 0.6905
0.0259 0.6384 0.1917
0.0920 0.3649 0.0492
0.0986 0.8633 0.5498
0.1609 0.3612 0.2625
0.1645 0.6385 0.4045
0.1674 0.8628 0.7628
0.1711 0.1391 0.9051
0.2340 0.1369 0.1177
0.2387 0.6353 0.6175
0.3054 0.8627 0.9755
0.3141 0.3625 0.4773
0.3541 0.1392 0.3574
0.3559 0.6395 0.8573
0.4265 0.8649 0.2159
0.4345 0.3649 0.7154
0.4949 0.1375 0.5684
0.4976 0.3630 0.9310
0.5009 0.8614 0.4285
0.5047 0.6382 0.0702
0.5645 0.1367 0.7834
0.5666 0.6366 0.2836
0.6398 0.8621 0.6417
0.6434 0.3614 0.1427
0.6871 0.6389 0.5236
0.6943 0.1380 0.0239
0.7625 0.3644 0.3815
0.7650 0.8637 0.8830
0.8273 0.8614 0.0964
0.8288 0.1368 0.2359
0.8310 0.3618 0.5951
0.8382 0.6390 0.7374
0.8997 0.1371 0.4503
0.9068 0.6353 0.9505
0.9790 0.8619 0.3101
0.9854 0.3628 0.8090